{
  "formula": "Rb2NaLaCl6",
  "functional": "GGA-PBE",
  "state": "relaxed",
  "cell": [[0.000, 5.534, 5.534], [5.534, 0.000, 5.534], [5.534, 5.534, 0.000]],
  "species": ["Cl", "Cl", "Cl", "Cl", "Cl", "Cl", "Rb", "Rb", "La", "Na"],
  "fractional_positions": [[0.250, 0.750, 0.750], [0.750, 0.250, 0.750], [0.250, 0.750, 0.250], [0.750, 0.750, 0.250], [0.750, 0.250, 0.250], [0.250, 0.250, 0.750], [0.750, 0.750, 0.750], [0.250, 0.250, 0.250], [0.000, 0.000, 0.000], [0.500, 0.500, 0.500]],
  "formation_enthalpy_0k_ev_per_atom": -2.47,
  "e_tot_ry_per_atom": -0.296,
  "sg": "No. 225",
  "energy_mp2020_ry_per_atom": -0.3234,
  "density_g_cm3": 2.7
}